# TbFe2 GGA-PBE optimized geometry
data_TbFe2
_chemical_formula_sum 'Tb4 Fe8'
_space_group_name_H-M_alt 'P 63/m m c'
_space_group_IT_number 194
_space_group_name_Hall '-P 6c 2c'
_cell_length_a 5.1944
_cell_length_b 5.1944
_cell_length_c 8.4096
_cell_angle_alpha 90.00
_cell_angle_beta 90.00
_cell_angle_gamma 120.00
loop_
_atom_site_label
_atom_site_type_symbol
_atom_site_fract_x
_atom_site_fract_y
_atom_site_fract_z
_atom_site_occupancy
Tb1 Tb 0.3333 0.6667 0.0631 1
Fe1 Fe 0.0000 0.0000 0.0000 1
Fe2 Fe 0.1647 0.3295 0.7500 1
# * crystal system: hexagonal
# * size of the total moment: 3.6 μB per formula unit
# * energy: -7.228 eV/atom
# * density: 9.147 g cm⁻³
# * ΔE_f: -0.1 eV per formula unit

# TeC12Cl2F10 GGA-PBE optimized geometry
data_TeC12Cl2F10
_chemical_formula_sum 'Te4 C48 Cl8 F40'
_space_group_name_H-M_alt 'P 1 21/c 1'
_space_group_IT_number 14
_cell_length_a 6.709
_cell_length_b 12.946
_cell_length_c 18.477
_cell_angle_alpha 90.00
_cell_angle_beta 92.30
_cell_angle_gamma 90.00
loop_
_space_group_symop_operation_xyz
'x,y,z'
'-x,-y,-z'
'-x,y+1/2,-z+1/2'
'x,-y+1/2,z+1/2'
loop_
_atom_site_label
_atom_site_type_symbol
_atom_site_fract_x
_atom_site_fract_y
_atom_site_fract_z
_atom_site_occupancy
Te1 Te 0.245 0.114 0.004 1
C1 C 0.007 0.242 0.203 1
C2 C 0.038 0.184 0.563 1
C3 C 0.052 0.623 0.885 1
C4 C 0.067 0.661 0.815 1
C5 C 0.096 0.182 0.151 1
C6 C 0.116 0.218 0.080 1
C7 C 0.388 0.223 0.934 1
C8 C 0.393 0.200 0.860 1
C9 C 0.428 0.619 0.088 1
C10 C 0.430 0.641 0.162 1
C11 C 0.483 0.187 0.459 1
C12 C 0.483 0.233 0.312 1
Cl1 Cl 0.075 0.628 0.572 1
Cl2 Cl 0.436 0.603 0.419 1
F1 F 0.007 0.706 0.229 1
F2 F 0.048 0.145 0.495 1
F3 F 0.124 0.529 0.902 1
F4 F 0.152 0.602 0.765 1
F5 F 0.162 0.087 0.170 1
F6 F 0.311 0.113 0.832 1
F7 F 0.339 0.532 0.063 1
F8 F 0.350 0.574 0.208 1
F9 F 0.486 0.245 0.741 1
F10 F 0.491 0.164 0.530 1
# * crystal system: monoclinic
# * size of the total moment: 0.0 μB per formula unit
# * energy: -6.129 eV/atom
# * density: 2.206 g cm⁻³
# * ΔE_f: -21.1 eV per formula unit

# ScH3O3 GGA-PBE optimized geometry
data_ScH3O3
_chemical_formula_sum 'Sc12 H36 O36'
_space_group_name_H-M_alt 'R -3'
_space_group_IT_number 148
_space_group_name_Hall '-R 3'
_cell_length_a 11.2815
_cell_length_b 11.2815
_cell_length_c 6.8471
_cell_angle_alpha 90.00
_cell_angle_beta 90.00
_cell_angle_gamma 120.00
loop_
_atom_site_label
_atom_site_type_symbol
_atom_site_fract_x
_atom_site_fract_y
_atom_site_fract_z
_atom_site_occupancy
Sc1 Sc 0.0000 0.0000 0.0000 1
Sc2 Sc 0.0000 0.5000 0.0000 1
H1 H 0.0219 0.4212 0.6577 1
H2 H 0.0694 0.1874 0.7364 1
O1 O 0.0124 0.8505 0.1775 1
O2 O 0.0493 0.7774 0.5943 1
# * crystal system: trigonal
# * energy: -6.410 eV/atom
# * density: 2.534 g cm⁻³
# * ΔE_f: -15.6 eV per formula unit

# KPrAlBiO6 GGA-PBE optimized geometry
data_KPrAlBiO6
_chemical_formula_sum 'K4 Pr4 Al4 Bi4 O24'
_space_group_name_H-M_alt 'F -4 3 m'
_space_group_IT_number 216
_space_group_name_Hall 'F -4 2 3'
_cell_length_a 8.019
_cell_length_b 8.019
_cell_length_c 8.019
_cell_angle_alpha 90.00
_cell_angle_beta 90.00
_cell_angle_gamma 90.00
loop_
_atom_site_label
_atom_site_type_symbol
_atom_site_fract_x
_atom_site_fract_y
_atom_site_fract_z
_atom_site_occupancy
K1 K 0.000 0.000 0.000 1
Pr1 Pr 0.000 0.000 0.500 1
Al1 Al 0.250 0.250 0.750 1
Bi1 Bi 0.250 0.250 0.250 1
O1 O 0.012 0.250 0.750 1
# * crystal system: cubic
# * size of the total moment: 0.0 μB per formula unit
# * energy: -6.328 eV/atom
# * density: 6.594 g cm⁻³
# * ΔE_f: -24.2 eV per formula unit

# NaMg2Ta2P3S3O24 GGA-PBE optimized geometry
data_NaMg2Ta2P3S3O24
_chemical_formula_sum 'Na3 Mg6 Ta6 P9 S9 O72'
_space_group_name_H-M_alt 'P 1'
_space_group_IT_number 1
_cell_length_a 8.716
_cell_length_b 8.722
_cell_length_c 22.565
_cell_angle_alpha 89.89
_cell_angle_beta 89.95
_cell_angle_gamma 60.02
loop_
_space_group_symop_operation_xyz
'x,y,z'
loop_
_atom_site_label
_atom_site_type_symbol
_atom_site_fract_x
_atom_site_fract_y
_atom_site_fract_z
_atom_site_occupancy
Na1 Na 0.000 0.000 0.000 1
Na2 Na 0.024 0.973 0.493 1
Na3 Na 0.675 0.669 0.657 1
Mg1 Mg 0.012 0.979 0.634 1
Mg2 Mg 0.015 0.973 0.342 1
Mg3 Mg 0.348 0.307 0.967 1
Mg4 Mg 0.669 0.661 0.805 1
Mg5 Mg 0.669 0.663 0.514 1
Mg6 Mg 0.999 0.987 0.138 1
Ta1 Ta 0.333 0.320 0.175 1
Ta2 Ta 0.334 0.328 0.468 1
Ta3 Ta 0.341 0.315 0.682 1
Ta4 Ta 0.670 0.656 0.013 1
Ta5 Ta 0.673 0.653 0.302 1
Ta6 Ta 0.999 0.994 0.848 1
P1 P 0.011 0.700 0.240 1
P2 P 0.049 0.611 0.575 1
P3 P 0.052 0.314 0.069 1
P4 P 0.339 0.032 0.574 1
P5 P 0.385 0.662 0.410 1
P6 P 0.388 0.943 0.905 1
P7 P 0.634 0.035 0.071 1
P8 P 0.665 0.376 0.905 1
P9 P 0.727 0.978 0.737 1
S1 S 0.002 0.277 0.739 1
S2 S 0.295 0.989 0.241 1
S3 S 0.298 0.701 0.739 1
S4 S 0.337 0.611 0.072 1
S5 S 0.629 0.321 0.574 1
S6 S 0.677 0.943 0.409 1
S7 S 0.718 0.274 0.241 1
S8 S 0.959 0.363 0.408 1
S9 S 0.965 0.649 0.907 1
O1 O 0.029 0.158 0.083 1
O2 O 0.036 0.164 0.793 1
O3 O 0.043 0.787 0.575 1
O4 O 0.046 0.770 0.297 1
O5 O 0.140 0.350 0.413 1
O6 O 0.140 0.506 0.917 1
O7 O 0.142 0.347 0.128 1
O8 O 0.154 0.492 0.629 1
O9 O 0.164 0.297 0.017 1
O10 O 0.167 0.030 0.577 1
O11 O 0.170 0.290 0.734 1
O12 O 0.170 0.510 0.518 1
O13 O 0.171 0.508 0.228 1
O14 O 0.186 0.781 0.793 1
O15 O 0.190 0.024 0.294 1
O16 O 0.190 0.788 0.082 1
O17 O 0.199 0.950 0.897 1
O18 O 0.201 0.816 0.401 1
O19 O 0.218 0.808 0.686 1
O20 O 0.225 0.954 0.188 1
O21 O 0.309 0.521 0.731 1
O22 O 0.312 0.530 0.020 1
O23 O 0.325 0.144 0.232 1
O24 O 0.325 0.150 0.518 1
O25 O 0.349 0.126 0.916 1
O26 O 0.359 0.133 0.629 1
O27 O 0.368 0.497 0.127 1
O28 O 0.374 0.485 0.417 1
O29 O 0.476 0.818 0.961 1
O30 O 0.477 0.679 0.463 1
O31 O 0.478 0.668 0.746 1
O32 O 0.481 0.832 0.251 1
O33 O 0.495 0.857 0.851 1
O34 O 0.504 0.632 0.353 1
O35 O 0.507 0.619 0.068 1
O36 O 0.509 0.856 0.572 1
O37 O 0.510 0.119 0.414 1
O38 O 0.513 0.125 0.129 1
O39 O 0.515 0.347 0.917 1
O40 O 0.517 0.343 0.627 1
O41 O 0.535 0.306 0.231 1
O42 O 0.538 0.299 0.520 1
O43 O 0.539 0.155 0.730 1
O44 O 0.546 0.149 0.018 1
O45 O 0.639 0.482 0.569 1
O46 O 0.642 0.850 0.064 1
O47 O 0.648 0.858 0.354 1
O48 O 0.658 0.473 0.850 1
O49 O 0.693 0.460 0.252 1
O50 O 0.695 0.825 0.746 1
O51 O 0.707 0.833 0.460 1
O52 O 0.708 0.458 0.962 1
O53 O 0.793 0.171 0.295 1
O54 O 0.800 0.160 0.577 1
O55 O 0.815 0.010 0.794 1
O56 O 0.819 0.002 0.081 1
O57 O 0.825 0.973 0.399 1
O58 O 0.827 0.206 0.189 1
O59 O 0.835 0.961 0.683 1
O60 O 0.846 0.181 0.899 1
O61 O 0.846 0.691 0.960 1
O62 O 0.848 0.668 0.255 1
O63 O 0.853 0.455 0.747 1
O64 O 0.855 0.446 0.461 1
O65 O 0.868 0.490 0.064 1
O66 O 0.876 0.613 0.569 1
O67 O 0.878 0.477 0.354 1
O68 O 0.886 0.629 0.853 1
O69 O 0.970 0.810 0.186 1
O70 O 0.977 0.821 0.901 1
O71 O 0.982 0.194 0.686 1
O72 O 0.984 0.187 0.398 1
# * crystal system: triclinic
# * size of the total moment: 0.0 μB per formula unit
# * energy: -7.168 eV/atom
# * density: 3.375 g cm⁻³
# * ΔE_f: -91.7 eV per formula unit